DFT (PBE-GGA) results for an optimized crystal structure of Na2Y2Nb6Si7S5O48.

Properties
- calculated formation energy (eV/atom) = -2.79
- total energy (eV per atom) = -7.636

Cell: 9.005 15.467 23.340 Å, 89.97 89.96 89.96°
Space group P1 (No. 1)
Symmetry-distinct sites (fractional):
1 Na 0.000 0.000 0.000 (multiplicity 1)
2 Na 0.000 0.010 0.494 (multiplicity 1)
3 Na 0.474 0.508 0.002 (multiplicity 1)
4 Na 0.475 0.499 0.494 (multiplicity 1)
5 Na 0.482 0.170 0.655 (multiplicity 1)
6 Na 0.982 0.669 0.159 (multiplicity 1)
7 Y 0.006 0.673 0.019 (multiplicity 1)
8 Y 0.469 0.174 0.517 (multiplicity 1)
9 Y 0.490 0.509 0.641 (multiplicity 1)
10 Y 0.497 0.169 0.814 (multiplicity 1)
11 Y 0.970 0.667 0.310 (multiplicity 1)
12 Y 0.986 0.008 0.141 (multiplicity 1)
13 Nb 0.006 0.337 0.472 (multiplicity 1)
14 Nb 0.470 0.838 0.974 (multiplicity 1)
15 Nb 0.481 0.174 0.307 (multiplicity 1)
16 Nb 0.485 0.853 0.471 (multiplicity 1)
17 Nb 0.487 0.842 0.684 (multiplicity 1)
18 Nb 0.487 0.844 0.187 (multiplicity 1)
19 Nb 0.494 0.174 0.021 (multiplicity 1)
20 Nb 0.497 0.502 0.137 (multiplicity 1)
21 Nb 0.501 0.497 0.853 (multiplicity 1)
22 Nb 0.513 0.506 0.349 (multiplicity 1)
23 Nb 0.971 0.004 0.852 (multiplicity 1)
24 Nb 0.976 0.997 0.351 (multiplicity 1)
25 Nb 0.983 0.674 0.519 (multiplicity 1)
26 Nb 0.985 0.998 0.635 (multiplicity 1)
27 Nb 0.991 0.344 0.185 (multiplicity 1)
28 Nb 0.991 0.354 0.972 (multiplicity 1)
29 Nb 0.992 0.351 0.682 (multiplicity 1)
30 Nb 0.993 0.673 0.807 (multiplicity 1)
31 Si 0.125 0.197 0.583 (multiplicity 1)
32 Si 0.130 0.818 0.912 (multiplicity 1)
33 Si 0.134 0.485 0.575 (multiplicity 1)
34 Si 0.140 0.531 0.910 (multiplicity 1)
35 Si 0.209 0.835 0.579 (multiplicity 1)
36 Si 0.269 0.338 0.079 (multiplicity 1)
37 Si 0.335 0.031 0.410 (multiplicity 1)
38 Si 0.343 0.983 0.078 (multiplicity 1)
39 Si 0.349 0.322 0.411 (multiplicity 1)
40 Si 0.350 0.697 0.082 (multiplicity 1)
41 Si 0.627 0.650 0.242 (multiplicity 1)
42 Si 0.628 0.984 0.580 (multiplicity 1)
43 Si 0.630 0.025 0.916 (multiplicity 1)
44 Si 0.634 0.361 0.244 (multiplicity 1)
45 Si 0.638 0.314 0.915 (multiplicity 1)
46 Si 0.696 0.008 0.245 (multiplicity 1)
47 Si 0.779 0.507 0.746 (multiplicity 1)
48 Si 0.839 0.816 0.415 (multiplicity 1)
49 Si 0.843 0.862 0.745 (multiplicity 1)
50 Si 0.844 0.525 0.416 (multiplicity 1)
51 Si 0.846 0.485 0.081 (multiplicity 1)
52 S 0.132 0.153 0.248 (multiplicity 1)
53 S 0.138 0.862 0.246 (multiplicity 1)
54 S 0.193 0.172 0.915 (multiplicity 1)
55 S 0.207 0.504 0.243 (multiplicity 1)
56 S 0.270 0.005 0.743 (multiplicity 1)
57 S 0.281 0.673 0.416 (multiplicity 1)
58 S 0.338 0.361 0.746 (multiplicity 1)
59 S 0.343 0.653 0.748 (multiplicity 1)
60 S 0.632 0.702 0.577 (multiplicity 1)
61 S 0.696 0.672 0.910 (multiplicity 1)
62 S 0.710 0.339 0.579 (multiplicity 1)
63 S 0.765 0.840 0.079 (multiplicity 1)
64 S 0.781 0.172 0.410 (multiplicity 1)
65 S 0.845 0.201 0.077 (multiplicity 1)
66 S 0.853 0.149 0.742 (multiplicity 1)
67 O 0.044 0.791 0.968 (multiplicity 1)
68 O 0.047 0.100 0.593 (multiplicity 1)
69 O 0.048 0.577 0.566 (multiplicity 1)
70 O 0.055 0.239 0.524 (multiplicity 1)
71 O 0.062 0.239 0.240 (multiplicity 1)
72 O 0.062 0.440 0.635 (multiplicity 1)
73 O 0.062 0.579 0.855 (multiplicity 1)
74 O 0.064 0.110 0.297 (multiplicity 1)
75 O 0.066 0.433 0.918 (multiplicity 1)
76 O 0.072 0.918 0.893 (multiplicity 1)
77 O 0.073 0.901 0.195 (multiplicity 1)
78 O 0.075 0.259 0.638 (multiplicity 1)
79 O 0.081 0.774 0.253 (multiplicity 1)
80 O 0.091 0.419 0.523 (multiplicity 1)
81 O 0.092 0.246 0.927 (multiplicity 1)
82 O 0.092 0.756 0.857 (multiplicity 1)
83 O 0.096 0.094 0.906 (multiplicity 1)
84 O 0.099 0.915 0.298 (multiplicity 1)
85 O 0.101 0.753 0.567 (multiplicity 1)
86 O 0.104 0.923 0.589 (multiplicity 1)
87 O 0.108 0.424 0.236 (multiplicity 1)
88 O 0.110 0.580 0.246 (multiplicity 1)
89 O 0.118 0.102 0.195 (multiplicity 1)
90 O 0.132 0.583 0.968 (multiplicity 1)
91 O 0.159 0.015 0.393 (multiplicity 1)
92 O 0.161 0.351 0.023 (multiplicity 1)
93 O 0.164 0.323 0.137 (multiplicity 1)
94 O 0.165 0.327 0.420 (multiplicity 1)
95 O 0.166 0.996 0.078 (multiplicity 1)
96 O 0.172 0.357 0.740 (multiplicity 1)
97 O 0.173 0.692 0.083 (multiplicity 1)
98 O 0.176 0.013 0.691 (multiplicity 1)
99 O 0.179 0.659 0.466 (multiplicity 1)
100 O 0.180 0.667 0.756 (multiplicity 1)
101 O 0.181 0.995 0.795 (multiplicity 1)
102 O 0.198 0.690 0.364 (multiplicity 1)
103 O 0.277 0.190 0.862 (multiplicity 1)
104 O 0.291 0.154 0.965 (multiplicity 1)
105 O 0.295 0.491 0.295 (multiplicity 1)
106 O 0.296 0.167 0.256 (multiplicity 1)
107 O 0.298 0.511 0.191 (multiplicity 1)
108 O 0.301 0.191 0.584 (multiplicity 1)
109 O 0.302 0.861 0.242 (multiplicity 1)
110 O 0.310 0.495 0.578 (multiplicity 1)
111 O 0.311 0.827 0.920 (multiplicity 1)
112 O 0.312 0.823 0.637 (multiplicity 1)
113 O 0.314 0.853 0.524 (multiplicity 1)
114 O 0.316 0.514 0.892 (multiplicity 1)
115 O 0.343 0.082 0.469 (multiplicity 1)
116 O 0.357 0.602 0.695 (multiplicity 1)
117 O 0.365 0.924 0.736 (multiplicity 1)
118 O 0.369 0.081 0.745 (multiplicity 1)
119 O 0.371 0.424 0.088 (multiplicity 1)
120 O 0.373 0.413 0.798 (multiplicity 1)
121 O 0.374 0.253 0.066 (multiplicity 1)
122 O 0.376 0.594 0.411 (multiplicity 1)
123 O 0.381 0.747 0.429 (multiplicity 1)
124 O 0.384 0.920 0.022 (multiplicity 1)
125 O 0.385 0.257 0.357 (multiplicity 1)
126 O 0.396 0.272 0.752 (multiplicity 1)
127 O 0.398 0.761 0.136 (multiplicity 1)
128 O 0.401 0.401 0.694 (multiplicity 1)
129 O 0.402 0.421 0.394 (multiplicity 1)
130 O 0.411 0.934 0.418 (multiplicity 1)
131 O 0.412 0.610 0.797 (multiplicity 1)
132 O 0.413 0.080 0.356 (multiplicity 1)
133 O 0.413 0.740 0.740 (multiplicity 1)
134 O 0.413 0.939 0.136 (multiplicity 1)
135 O 0.419 0.740 0.023 (multiplicity 1)
136 O 0.427 0.077 0.065 (multiplicity 1)
137 O 0.427 0.600 0.088 (multiplicity 1)
138 O 0.430 0.292 0.469 (multiplicity 1)
139 O 0.549 0.745 0.233 (multiplicity 1)
140 O 0.554 0.270 0.970 (multiplicity 1)
141 O 0.556 0.407 0.189 (multiplicity 1)
142 O 0.557 0.604 0.301 (multiplicity 1)
143 O 0.558 0.056 0.858 (multiplicity 1)
144 O 0.561 0.268 0.260 (multiplicity 1)
145 O 0.561 0.928 0.636 (multiplicity 1)
146 O 0.563 0.079 0.582 (multiplicity 1)
147 O 0.564 0.415 0.908 (multiplicity 1)
148 O 0.568 0.744 0.527 (multiplicity 1)
149 O 0.569 0.614 0.580 (multiplicity 1)
150 O 0.579 0.584 0.189 (multiplicity 1)
151 O 0.581 0.927 0.933 (multiplicity 1)
152 O 0.590 0.090 0.264 (multiplicity 1)
153 O 0.590 0.596 0.899 (multiplicity 1)
154 O 0.593 0.928 0.523 (multiplicity 1)
155 O 0.594 0.922 0.237 (multiplicity 1)
156 O 0.599 0.094 0.969 (multiplicity 1)
157 O 0.600 0.749 0.916 (multiplicity 1)
158 O 0.601 0.749 0.632 (multiplicity 1)
159 O 0.609 0.425 0.301 (multiplicity 1)
160 O 0.615 0.267 0.856 (multiplicity 1)
161 O 0.616 0.417 0.582 (multiplicity 1)
162 O 0.620 0.260 0.580 (multiplicity 1)
163 O 0.658 0.519 0.408 (multiplicity 1)
164 O 0.663 0.483 0.085 (multiplicity 1)
165 O 0.664 0.491 0.801 (multiplicity 1)
166 O 0.664 0.829 0.430 (multiplicity 1)
167 O 0.664 0.850 0.732 (multiplicity 1)
168 O 0.672 0.845 0.027 (multiplicity 1)
169 O 0.676 0.837 0.133 (multiplicity 1)
170 O 0.678 0.195 0.072 (multiplicity 1)
171 O 0.685 0.526 0.690 (multiplicity 1)
172 O 0.686 0.185 0.360 (multiplicity 1)
173 O 0.688 0.156 0.745 (multiplicity 1)
174 O 0.698 0.151 0.462 (multiplicity 1)
175 O 0.778 0.651 0.962 (multiplicity 1)
176 O 0.792 0.684 0.859 (multiplicity 1)
177 O 0.794 0.029 0.190 (multiplicity 1)
178 O 0.797 0.696 0.572 (multiplicity 1)
179 O 0.802 0.337 0.634 (multiplicity 1)
180 O 0.802 0.345 0.528 (multiplicity 1)
181 O 0.804 0.657 0.242 (multiplicity 1)
182 O 0.811 0.993 0.301 (multiplicity 1)
183 O 0.812 0.985 0.588 (multiplicity 1)
184 O 0.813 0.328 0.930 (multiplicity 1)
185 O 0.813 0.348 0.232 (multiplicity 1)
186 O 0.818 0.020 0.906 (multiplicity 1)
187 O 0.857 0.761 0.078 (multiplicity 1)
188 O 0.859 0.918 0.081 (multiplicity 1)
189 O 0.861 0.767 0.356 (multiplicity 1)
190 O 0.872 0.928 0.801 (multiplicity 1)
191 O 0.874 0.248 0.131 (multiplicity 1)
192 O 0.877 0.249 0.418 (multiplicity 1)
193 O 0.878 0.593 0.469 (multiplicity 1)
194 O 0.881 0.419 0.737 (multiplicity 1)
195 O 0.886 0.429 0.023 (multiplicity 1)
196 O 0.887 0.097 0.400 (multiplicity 1)
197 O 0.888 0.093 0.693 (multiplicity 1)
198 O 0.888 0.587 0.764 (multiplicity 1)
199 O 0.897 0.426 0.434 (multiplicity 1)
200 O 0.907 0.113 0.079 (multiplicity 1)
201 O 0.907 0.244 0.026 (multiplicity 1)
202 O 0.912 0.916 0.408 (multiplicity 1)
203 O 0.913 0.110 0.796 (multiplicity 1)
204 O 0.914 0.428 0.136 (multiplicity 1)
205 O 0.914 0.579 0.082 (multiplicity 1)
206 O 0.915 0.769 0.759 (multiplicity 1)
207 O 0.919 0.912 0.691 (multiplicity 1)
208 O 0.920 0.235 0.736 (multiplicity 1)
209 O 0.920 0.555 0.359 (multiplicity 1)
210 O 0.921 0.771 0.471 (multiplicity 1)